# Ce3Ge2Rh2 | the Materials Project | PBE | relaxed
# E: -47.75 eV/f.u.
# calculated formation energy: -0.854 eV per atom
data_Ce3Ge2Rh2
_chemical_formula_sum 'Ce12 Ge8 Rh8'
_cell_length_a 5.6085
_cell_length_b 8.0813
_cell_length_c 13.3091
_cell_angle_alpha 90.00
_cell_angle_beta 90.00
_cell_angle_gamma 90.00
_space_group_name_H-M_alt 'P b c m'
_space_group_IT_number 57
loop_
_space_group_symop_operation_xyz
'x,y,z'
'-x,-y,-z'
'-x,-y,z+1/2'
'x,y,-z+1/2'
'x,-y+1/2,-z'
'-x,y+1/2,z'
'-x,y+1/2,-z+1/2'
'x,-y+1/2,z+1/2'
loop_
_atom_site_label
_atom_site_type_symbol
_atom_site_fract_x
_atom_site_fract_y
_atom_site_fract_z
Ce1 Ce 0.1363 0.2419 0.2500
Ce2 Ce 0.3441 0.6033 0.0977
Ge1 Ge 0.1754 0.2500 0.0000
Ge2 Ge 0.3692 0.6076 0.7500
Rh1 Rh 0.1213 0.5421 0.5931